1.
Below is a geometry-optimized Cu3C2O8 structure, with properties calculated at the meta-GGA r2SCAN level.

abc: 4.962 5.572 10.396
angles: 90.00 95.12 90.00
Element x y z (fractional)
Cu 0.000 0.000 0.000
Cu 0.000 0.500 0.500
Cu 0.242 0.003 0.582
Cu 0.242 0.497 0.082
Cu 0.758 0.503 0.918
Cu 0.758 0.997 0.418
C 0.325 0.690 0.320
C 0.325 0.810 0.820
C 0.675 0.190 0.180
C 0.675 0.310 0.680
O 0.059 0.184 0.455
O 0.059 0.316 0.955
O 0.101 0.582 0.335
O 0.101 0.918 0.835
O 0.409 0.704 0.207
O 0.409 0.796 0.707
O 0.465 0.719 0.918
O 0.465 0.781 0.418
O 0.535 0.219 0.582
O 0.535 0.281 0.082
O 0.591 0.204 0.293
O 0.591 0.296 0.793
O 0.899 0.082 0.165
O 0.899 0.418 0.665
O 0.941 0.684 0.045
O 0.941 0.816 0.545

Formation enthalpy at 0 K in eV per atom: -0.99
ρ in g cm⁻³: 3.97
Crystal system: monoclinic

2.
Below is a geometry-optimized Dy2C structure, with properties calculated at the meta-GGA r2SCAN level.

abc: 6.458 6.458 6.458
angles: 32.29 32.29 32.29
Element x y z (fractional)
Dy 0.240 0.240 0.240
Dy 0.760 0.760 0.760
C 0.500 0.500 0.500

Formation enthalpy at 0 K in eV per atom: -0.44
ρ in g cm⁻³: 8.19
Crystal system: trigonal

3.
Below is a geometry-optimized Dy2C3 structure, with properties calculated at the meta-GGA r2SCAN level.

abc: 7.110 7.110 7.110
angles: 109.47 109.47 109.47
Element x y z (fractional)
Dy 0.000 0.400 0.500
Dy 0.000 0.900 0.500
Dy 0.100 0.100 0.100
Dy 0.400 0.500 0.000
Dy 0.500 0.000 0.400
Dy 0.500 0.000 0.900
Dy 0.600 0.600 0.600
Dy 0.900 0.500 0.000
C 0.044 0.750 0.794
C 0.206 0.750 0.956
C 0.250 0.544 0.294
C 0.250 0.706 0.456
C 0.294 0.250 0.544
C 0.456 0.250 0.706
C 0.544 0.294 0.250
C 0.706 0.456 0.250
C 0.750 0.794 0.044
C 0.750 0.956 0.206
C 0.794 0.044 0.750
C 0.956 0.206 0.750

Formation enthalpy at 0 K in eV per atom: -0.42
ρ in g cm⁻³: 8.67
Crystal system: cubic

ρ of number 3 (Dy2C3)?
8.67 g cm⁻³

Look up the ρ of the third one.
8.67 g cm⁻³